(1)
Entry from the Materials Project: InPd3 after structural relaxation (PBE).

```
InPd3
1.0
-0.890 0.610 3.818
-2.258 -3.407 0.018
3.281 -2.169 1.111
In Pd
1 3
Direct
0.000 0.000 0.000
0.000 0.500 0.500
0.500 0.500 0.000
0.500 0.000 0.500
```

The calculation puts the energy of formation from the pure elements at -434.3 meV per atom. The value obtained for the final energy is -5.007 eV/atom. For the density, the calculation gives 10.88 Mg/m³.

***

(2)
Entry from the Materials Project: SiO2 after structural relaxation (PBE).

```
SiO2
1.0
-9.178 -1.313 12.906
10.268 11.058 4.982
-11.002 0.868 -11.434
Si O
48 96
Direct
0.312 0.980 0.050
0.546 0.560 0.258
0.853 0.719 0.420
0.474 0.143 0.062
0.697 0.969 0.426
0.236 0.922 0.308
0.691 0.954 0.017
0.070 0.738 0.050
0.093 0.955 0.425
0.302 0.560 0.014
0.688 0.738 0.668
0.309 0.326 0.264
0.853 0.126 0.431
0.386 0.072 0.308
0.698 0.712 0.258
0.147 0.578 0.273
0.147 0.567 0.866
0.526 0.588 0.669
0.380 0.310 0.080
0.155 0.074 0.076
0.299 0.719 0.866
0.454 0.712 0.014
0.373 0.703 0.694
0.001 0.921 0.076
0.764 0.072 0.686
0.470 0.332 0.425
0.303 0.729 0.272
0.305 0.578 0.431
0.845 0.921 0.919
0.919 0.588 0.062
0.457 0.729 0.426
0.695 0.126 0.273
0.009 0.703 0.330
0.930 0.980 0.668
0.620 0.700 0.929
0.229 0.310 0.929
0.530 0.955 0.862
0.081 0.143 0.669
0.627 0.321 0.330
0.063 0.326 0.017
0.614 0.922 0.686
0.907 0.332 0.862
0.937 0.954 0.264
0.991 0.321 0.694
0.701 0.567 0.420
0.999 0.074 0.919
0.771 0.700 0.080
0.543 0.969 0.272
0.991 0.014 0.788
0.310 0.037 0.346
0.665 0.841 0.684
0.079 0.443 0.150
0.613 0.996 0.383
0.463 0.432 0.142
0.303 0.683 0.747
0.158 0.841 0.176
0.497 0.827 0.156
0.773 0.796 0.788
0.290 0.432 0.969
0.597 0.648 0.643
0.690 0.253 0.337
0.537 0.679 0.969
0.227 0.014 0.023
0.420 0.207 0.037
0.301 0.265 0.964
0.995 0.046 0.643
0.842 0.018 0.684
0.434 0.216 0.404
0.599 0.036 0.241
0.443 0.637 0.685
0.401 0.642 0.436
0.063 0.444 0.747
0.204 0.548 0.945
0.386 0.601 0.987
0.064 0.844 0.414
0.396 0.315 0.324
0.009 0.796 0.023
0.009 0.928 0.324
0.796 0.741 0.344
0.569 0.349 0.414
0.084 0.059 0.975
0.503 0.659 0.330
0.018 0.214 0.000
0.916 0.253 0.564
0.697 0.444 0.381
0.215 0.610 0.825
0.784 0.146 0.362
0.667 0.839 0.000
0.398 0.741 0.945
0.333 0.333 0.172
0.916 0.891 0.975
0.047 0.241 0.685
0.566 0.970 0.782
0.953 0.637 0.194
0.111 0.076 0.557
0.557 0.241 0.194
0.894 0.838 0.560
0.708 0.018 0.555
0.699 0.663 0.964
0.991 0.315 0.919
0.786 0.982 0.000
0.216 0.577 0.362
0.690 0.037 0.727
0.335 0.018 0.176
0.614 0.601 0.215
0.189 0.970 0.404
0.706 0.071 0.150
0.830 0.617 0.037
0.921 0.071 0.364
0.294 0.443 0.364
0.387 0.770 0.383
0.839 0.839 0.172
0.106 0.666 0.945
0.982 0.982 0.196
0.292 0.847 0.310
0.170 0.207 0.787
0.519 0.076 0.965
0.464 0.018 0.310
0.403 0.046 0.052
0.161 0.333 0.000
0.811 0.216 0.782
0.098 0.012 0.109
0.671 0.827 0.330
0.936 0.349 0.780
0.084 0.647 0.337
0.214 0.214 0.196
0.329 0.659 0.156
0.602 0.548 0.344
0.481 0.446 0.557
0.206 0.642 0.241
0.580 0.617 0.787
0.785 0.610 0.395
0.310 0.647 0.564
0.710 0.679 0.142
0.902 0.012 0.914
0.536 0.847 0.555
0.278 0.838 0.945
0.722 0.666 0.560
0.604 0.928 0.919
0.794 0.036 0.436
0.937 0.683 0.381
0.431 0.844 0.780
0.005 0.648 0.052
0.889 0.446 0.965
```

The calculation puts the energy of formation from the pure elements at -3255.8 meV per atom. The value obtained for the final energy is -7.905 eV/atom. For the density, the calculation gives 1.71 Mg/m³.

***

(3)
Entry from the Materials Project: BaNd2BeO5 after structural relaxation (PBE).

```
BaNd2BeO5
1.0
-0.266 5.092 -4.457
-3.907 -4.301 -4.681
-8.460 3.071 4.013
Ba Nd Be O
4 8 4 20
Direct
0.582 0.020 0.673
0.082 0.980 0.827
0.418 0.980 0.327
0.918 0.020 0.173
0.417 0.521 0.324
0.917 0.479 0.176
0.583 0.479 0.676
0.083 0.521 0.824
0.091 0.257 0.521
0.591 0.743 0.979
0.909 0.743 0.479
0.409 0.257 0.021
0.807 0.262 0.903
0.693 0.262 0.403
0.193 0.738 0.097
0.307 0.738 0.597
0.631 0.280 0.232
0.131 0.720 0.268
0.369 0.720 0.768
0.869 0.280 0.732
0.165 0.285 0.285
0.665 0.715 0.215
0.835 0.715 0.715
0.335 0.285 0.785
0.018 0.281 0.990
0.482 0.281 0.490
0.982 0.719 0.010
0.518 0.719 0.510
0.192 0.931 0.562
0.692 0.069 0.938
0.808 0.069 0.438
0.308 0.931 0.062
0.821 0.441 0.434
0.321 0.559 0.066
0.179 0.559 0.566
0.679 0.441 0.934
```

The calculation puts the energy of formation from the pure elements at -3436.7 meV per atom. The value obtained for the final energy is -7.492 eV/atom. For the density, the calculation gives 6.87 Mg/m³.

***

(4)
Entry from the Materials Project: Sr3SbP after structural relaxation (PBE).

```
Sr3SbP
1.0
-4.614 2.933 -2.706
-3.484 -0.945 4.918
1.945 5.265 2.390
Sr Sb P
3 1 1
Direct
0.000 0.500 0.500
0.500 0.000 0.500
0.500 0.500 0.000
0.500 0.500 0.500
0.000 0.000 0.000
```

The calculation puts the energy of formation from the pure elements at -285.3 meV per atom. The value obtained for the polymorph energy (0 for the lowest one) is 637 meV per atom. The value obtained for the final energy is -3.207 eV/atom. For the density, the calculation gives 3.04 Mg/m³.

***

(5)
Entry from the Materials Project: EuNi12B6 after structural relaxation (PBE).

```
EuNi12B6
1.0
-4.275 2.757 3.247
-1.398 -5.860 0.363
4.997 0.551 3.340
Eu Ni B
1 12 6
Direct
0.000 0.000 0.000
0.812 0.542 0.542
0.500 0.869 0.131
0.131 0.500 0.869
0.131 0.869 0.500
0.869 0.500 0.131
0.542 0.542 0.812
0.500 0.131 0.869
0.458 0.458 0.188
0.869 0.131 0.500
0.188 0.458 0.458
0.458 0.188 0.458
0.542 0.812 0.542
0.234 0.663 0.234
0.766 0.766 0.337
0.337 0.766 0.766
0.663 0.234 0.234
0.234 0.234 0.663
0.766 0.337 0.766
```

The calculation puts the energy of formation from the pure elements at -363.3 meV per atom. The value obtained for the final energy is -6.663 eV/atom. For the density, the calculation gives 7.85 Mg/m³.

***

(6)
Entry from the Materials Project: Zn after structural relaxation (PBE).

```
Zn
1.0
-4.300 -5.034 -9.665
2.113 -10.956 3.920
-10.554 0.829 5.024
Zn
100
Direct
0.948 0.647 0.594
0.291 0.109 0.100
0.964 0.218 0.408
0.269 0.625 0.241
0.225 0.130 0.453
0.434 0.879 0.646
0.624 0.901 0.137
0.171 0.191 0.813
0.271 0.305 0.999
0.541 0.756 0.467
0.672 0.321 0.521
0.533 0.305 0.201
0.213 0.730 0.931
0.105 0.101 0.236
0.630 0.223 0.867
0.746 0.729 0.555
0.047 0.347 0.920
0.442 0.953 0.008
0.299 0.994 0.286
0.689 0.630 0.329
0.877 0.309 0.609
0.563 0.591 0.943
0.328 0.406 0.218
0.049 0.891 0.966
0.081 0.795 0.522
0.918 0.488 0.765
0.906 0.207 0.184
0.523 0.682 0.710
0.080 0.562 0.900
0.143 0.412 0.731
0.598 0.541 0.546
0.701 0.201 0.082
0.937 0.078 0.821
0.191 0.820 0.727
0.896 0.410 0.298
0.075 0.537 0.289
0.745 0.639 0.769
0.483 0.363 0.987
0.691 0.686 0.113
0.727 0.206 0.324
0.890 0.381 0.069
0.309 0.718 0.489
0.514 0.266 0.658
0.868 0.678 0.973
0.151 0.804 0.310
0.869 0.030 0.049
0.891 0.589 0.165
0.153 0.322 0.360
0.429 0.147 0.919
0.245 0.509 0.432
0.167 0.610 0.636
0.992 0.730 0.800
0.394 0.801 0.844
0.459 0.960 0.434
0.671 0.420 0.332
0.463 0.578 0.343
0.363 0.208 0.309
0.233 0.875 0.108
0.081 0.110 0.000
0.942 0.850 0.165
0.930 0.691 0.373
0.835 0.879 0.883
0.295 0.314 0.561
0.086 0.694 0.106
0.384 0.534 0.599
0.459 0.377 0.433
0.409 0.796 0.276
0.517 0.093 0.178
0.866 0.026 0.286
0.761 0.818 0.287
0.633 0.791 0.929
0.715 0.414 0.730
0.544 0.055 0.736
0.357 0.553 0.036
0.089 0.230 0.604
0.663 0.863 0.734
0.253 0.929 0.519
0.697 0.413 0.970
0.813 0.500 0.494
0.338 0.104 0.662
0.509 0.462 0.771
0.055 0.990 0.412
0.034 0.444 0.519
0.254 0.991 0.872
0.866 0.897 0.464
0.847 0.280 0.854
0.729 0.153 0.677
0.347 0.322 0.791
0.577 0.511 0.149
0.904 0.891 0.680
0.538 0.161 0.460
0.449 0.748 0.066
0.661 0.956 0.549
0.914 0.087 0.579
0.656 0.016 0.943
0.652 0.008 0.339
0.308 0.561 0.812
0.102 0.296 0.143
0.112 0.019 0.677
0.157 0.486 0.083
```

The calculation puts the energy of formation from the pure elements at 58.4 meV per atom. The value obtained for the polymorph energy (0 for the lowest one) is 58 meV per atom. The value obtained for the final energy is -1.201 eV/atom. For the density, the calculation gives 6.73 Mg/m³.